# 1
Computed, not measured: a relaxed structure of SrUO4 at the meta-GGA r2SCAN level of DFT.

Lattice parameters (Å, degrees): 6.5952 6.5952 6.5952 34.55 34.55 34.55
With the nearest neighbours (Å) after each atom.
Fractional coordinates of all 6 atoms:
O (0.3595, 0.3595, 0.3595)  3 U 2.31, 3 O 2.46
O (0.8938, 0.8938, 0.8938)  1 U 1.97
O (0.1062, 0.1062, 0.1062)  1 U 1.97
Sr (0.5000, 0.5000, 0.5000)  8 O 2.53-2.61
O (0.6405, 0.6405, 0.6405)  3 U 2.31, 3 O 2.46
U (0.0000, 0.0000, 0.0000)  2 O 1.97

* E: -139.94 eV/f.u.
* E_form: -80.6 kcal/mol of atoms

# 2
Computed, not measured: a relaxed structure of Sr2V3O9 at the meta-GGA r2SCAN level of DFT.

Lattice parameters (Å, degrees): 8.9724 8.9724 6.9641 77.86 77.86 130.12
With the nearest neighbours (Å) after each atom.
Fractional coordinates of all 28 atoms:
O (0.4435, 0.8937, 0.7764)  1 V 1.74
O (0.8937, 0.4435, 0.2764)  1 V 1.74
Sr (0.4536, 0.5508, 0.2472)  9 O 2.58-2.82
O (0.8182, 0.8549, 0.7190)  1 V 1.68
O (0.1826, 0.1451, 0.2811)  1 V 1.68
O (0.1081, 0.5562, 0.7202)  1 V 1.73
Sr (0.5508, 0.4536, 0.7472)  9 O 2.58-2.82
O (0.7147, 0.2884, 0.7551)  1 V 1.67
O (0.2862, 0.4829, 0.9778)  1 V 1.70
O (0.0033, 0.2812, 0.5088)  2 V 1.76-1.97
V (0.0364, 0.5268, 0.4684)  1 O 1.67
O (0.4829, 0.2862, 0.4778)  1 V 1.70
V (0.0799, 0.9216, 0.2489)  4 O 1.68-1.76
Sr (0.8729, 0.1238, 0.2498)  8 O 2.54-2.81
O (0.2812, 0.0033, 0.0088)  2 V 1.76-1.97
V (0.5268, 0.0364, 0.9684)  1 O 1.67
Sr (0.1238, 0.8729, 0.7498)  8 O 2.54-2.81
O (0.7184, 0.9985, 0.9870)  1 V 1.76
O (0.8549, 0.8182, 0.2190)  1 V 1.68
O (0.2884, 0.7147, 0.2551)  1 V 1.67
V (0.6598, 0.3398, 0.2507)  4 O 1.70-1.74
O (0.9985, 0.7184, 0.4870)  1 V 1.76
V (0.3398, 0.6598, 0.7507)  4 O 1.70-1.74
O (0.7110, 0.5168, 0.0257)  1 V 1.70
O (0.1451, 0.1826, 0.7811)  1 V 1.68
V (0.9216, 0.0799, 0.7489)  4 O 1.68-1.76
O (0.5562, 0.1081, 0.2202)  1 V 1.73
O (0.5168, 0.7110, 0.5257)  1 V 1.70

* E: -167.19 eV/f.u.
* E_form: -67.3 kcal/mol of atoms

# 3
Computed, not measured: a relaxed structure of Sr2V2O7 at the meta-GGA r2SCAN level of DFT.

Lattice parameters (Å, degrees): 7.0574 7.1032 13.0070 99.31 93.64 90.91
With the nearest neighbours (Å) after each atom.
Fractional coordinates of all 44 atoms:
Sr (0.7519, 0.2658, 0.3462)  7 O 2.54-2.75
V (0.8413, 0.1806, 0.0823)  4 O 1.67-1.82
O (0.3027, 0.3639, 0.6651)  1 V 1.68
V (0.2196, 0.3976, 0.3909)  4 O 1.68-1.81
O (0.6097, 0.7504, 0.6598)  1 V 1.71
O (0.6974, 0.3424, 0.8293)  1 V 1.72
O (0.5452, 0.9652, 0.2108)  1 V 1.68
O (0.3088, 0.0086, 0.5526)  1 V 1.71
V (0.5534, 0.1986, 0.8868)  4 O 1.68-1.81
Sr (0.3664, 0.8722, 0.3618)  7 O 2.48-2.74
Sr (0.2481, 0.7342, 0.6538)  7 O 2.54-2.75
O (0.3026, 0.6576, 0.1707)  1 V 1.72
O (0.0477, 0.9723, 0.8511)  1 V 1.67
Sr (0.6336, 0.1278, 0.6382)  7 O 2.48-2.74
O (0.6169, 0.6797, 0.0484)  1 V 1.68
O (0.9267, 0.5660, 0.7119)  1 V 1.69
O (0.4548, 0.0348, 0.7892)  1 V 1.68
V (0.7804, 0.6024, 0.6091)  4 O 1.68-1.81
O (0.3056, 0.9373, 0.0310)  2 V 1.81-1.82
O (0.0082, 0.8722, 0.3400)  1 V 1.69
O (0.6944, 0.0628, 0.9690)  2 V 1.81-1.82
O (0.6973, 0.6361, 0.3350)  1 V 1.68
V (0.8358, 0.8041, 0.4111)  4 O 1.68-1.82
O (0.6912, 0.9914, 0.4474)  1 V 1.71
V (0.1642, 0.1959, 0.5889)  4 O 1.68-1.82
Sr (0.9249, 0.6581, 0.1556)  7 O 2.53-2.70
V (0.1587, 0.8194, 0.9177)  4 O 1.67-1.82
O (0.9916, 0.6725, 0.9550)  1 V 1.71
O (0.0733, 0.4340, 0.2881)  1 V 1.69
O (0.9918, 0.1278, 0.6600)  1 V 1.69
Sr (0.3278, 0.2856, 0.1392)  7 O 2.54-2.82
O (0.6983, 0.3250, 0.1595)  1 V 1.71
Sr (0.6722, 0.7145, 0.8608)  7 O 2.54-2.82
O (0.3144, 0.6028, 0.4580)  1 V 1.68
O (0.0084, 0.3275, 0.0450)  1 V 1.71
O (0.3017, 0.6750, 0.8405)  1 V 1.71
O (0.3903, 0.2496, 0.3402)  1 V 1.71
O (0.0709, 0.2827, 0.4722)  2 V 1.81-1.82
O (0.6856, 0.3972, 0.5420)  1 V 1.68
O (0.9292, 0.7173, 0.5278)  2 V 1.81-1.82
O (0.9523, 0.0277, 0.1489)  1 V 1.67
Sr (0.0751, 0.3419, 0.8444)  7 O 2.53-2.70
O (0.3831, 0.3203, 0.9516)  1 V 1.68
V (0.4466, 0.8014, 0.1132)  4 O 1.68-1.81

* E: -133.29 eV/f.u.
* E_form: -69.2 kcal/mol of atoms

# 4
Computed, not measured: a relaxed structure of Sr2V3O9 at the meta-GGA r2SCAN level of DFT.

Lattice parameters (Å, degrees): 6.9622 7.2928 8.9662 103.56 102.14 115.95
With the nearest neighbours (Å) after each atom.
Fractional coordinates of all 28 atoms:
O (0.9249, 0.1447, 0.9606)  1 V 1.68
O (0.5381, 0.8189, 0.9652)  1 V 1.68
O (0.7778, 0.5582, 0.4501)  1 V 1.74
O (0.7357, 0.7079, 0.1935)  1 V 1.70
O (0.4884, 0.0004, 0.2805)  1 V 1.76
O (0.1701, 0.8941, 0.4482)  1 V 1.74
V (0.9108, 0.6586, 0.3202)  4 O 1.70-1.74
O (0.2923, 0.2826, 0.2773)  2 V 1.76-1.97
V (0.0903, 0.3410, 0.6799)  4 O 1.70-1.74
V (0.4953, 0.5268, 0.4903)  1 O 1.67
V (0.3303, 0.0805, 0.1581)  4 O 1.68-1.76
O (0.2650, 0.2888, 0.8036)  1 V 1.70
Sr (0.8757, 0.1213, 0.2508)  8 O 2.54-2.82
O (0.7032, 0.7172, 0.7207)  1 V 1.76
Sr (0.7010, 0.4533, 0.9029)  9 O 2.57-2.83
O (0.4634, 0.1824, 0.0361)  1 V 1.68
O (0.4705, 0.7152, 0.4264)  1 V 1.67
O (0.2187, 0.4415, 0.5478)  1 V 1.74
O (0.5084, 0.0006, 0.7212)  2 V 1.76-1.97
V (0.5046, 0.0363, 0.5096)  1 O 1.67
O (0.0748, 0.8557, 0.0381)  1 V 1.68
O (0.9611, 0.4812, 0.1979)  1 V 1.70
O (0.0430, 0.5188, 0.8051)  1 V 1.70
O (0.5432, 0.2879, 0.5738)  1 V 1.67
O (0.8282, 0.1083, 0.5539)  1 V 1.73
Sr (0.2979, 0.5507, 0.0971)  9 O 2.58-2.82
V (0.6686, 0.9210, 0.8418)  4 O 1.68-1.76
Sr (0.1202, 0.8751, 0.7493)  8 O 2.54-2.82

* E: -167.20 eV/f.u.
* E_form: -67.3 kcal/mol of atoms

# 5
Computed, not measured: a relaxed structure of Sr3V2O8 at the meta-GGA r2SCAN level of DFT.

Lattice parameters (Å, degrees): 7.4640 7.4640 7.4640 44.23 44.23 44.23
With the nearest neighbours (Å) after each atom.
Fractional coordinates of all 13 atoms:
O (0.2323, 0.7316, 0.7316)  1 V 1.72
Sr (0.2018, 0.2018, 0.2018)  4 O 2.42-2.59
O (0.7316, 0.2323, 0.7316)  1 V 1.72
Sr (0.7982, 0.7982, 0.7982)  4 O 2.42-2.59
V (0.4061, 0.4061, 0.4061)  4 O 1.70-1.72
O (0.6784, 0.6784, 0.6784)  1 V 1.70
O (0.3216, 0.3216, 0.3216)  1 V 1.70
Sr (0.0000, 0.0000, 0.0000)  6 O 2.61
O (0.2684, 0.2684, 0.7677)  1 V 1.72
O (0.2684, 0.7677, 0.2684)  1 V 1.72
O (0.7677, 0.2684, 0.2684)  1 V 1.72
V (0.5939, 0.5939, 0.5939)  4 O 1.70-1.72
O (0.7316, 0.7316, 0.2323)  1 V 1.72

* E: -161.67 eV/f.u.
* E_form: -71.4 kcal/mol of atoms

# 6
Computed, not measured: a relaxed structure of SrV4O9 at the meta-GGA r2SCAN level of DFT.

Lattice parameters (Å, degrees): 8.3465 8.3465 5.3201 90.00 90.00 90.00
With the nearest neighbours (Å) after each atom.
Fractional coordinates of all 28 atoms:
V (0.7873, 0.9085, 0.3772)  1 O 1.62
V (0.0915, 0.7872, 0.6228)  1 O 1.62
O (0.3929, 0.2088, 0.5293)  3 V 1.95-1.97
O (0.5000, 0.5000, 0.5000)  4 V 2.04
O (0.2421, 0.0769, 0.0762)  1 V 1.62
V (0.7128, 0.5915, 0.6228)  1 O 1.62
O (0.7912, 0.3929, 0.4707)  3 V 1.95-1.97
O (0.9231, 0.2421, 0.9238)  1 V 1.62
Sr (0.0000, 0.5000, 0.1458)  8 O 2.54-2.61
V (0.2872, 0.4085, 0.6228)  1 O 1.62
O (0.7579, 0.9231, 0.0762)  1 V 1.62
Sr (0.5000, 0.0000, 0.8542)  8 O 2.54-2.61
O (0.7088, 0.1071, 0.5293)  3 V 1.95-1.97
O (0.7421, 0.5769, 0.9238)  1 V 1.62
O (0.1071, 0.2912, 0.4707)  3 V 1.95-1.97
O (0.2912, 0.8929, 0.5293)  3 V 1.95-1.97
O (0.5769, 0.2579, 0.0762)  1 V 1.62
O (0.6071, 0.7912, 0.5293)  3 V 1.95-1.97
O (0.2579, 0.4231, 0.9238)  1 V 1.62
V (0.5915, 0.2872, 0.3772)  1 O 1.62
O (0.4231, 0.7421, 0.0762)  1 V 1.62
O (0.2088, 0.6071, 0.4707)  3 V 1.95-1.97
V (0.2128, 0.0915, 0.3772)  1 O 1.62
V (0.4085, 0.7128, 0.3772)  1 O 1.62
O (0.0769, 0.7579, 0.9238)  1 V 1.62
O (0.8929, 0.7088, 0.4707)  3 V 1.95-1.97
O (0.0000, 0.0000, 0.5000)  4 V 2.04
V (0.9085, 0.2128, 0.6228)  1 O 1.62

* E: -163.68 eV/f.u.
* E_form: -63.3 kcal/mol of atoms

# 7
Computed, not measured: a relaxed structure of Sr2WO5 at the meta-GGA r2SCAN level of DFT.

Lattice parameters (Å, degrees): 5.5522 7.2200 10.9794 90.00 90.00 90.00
With the nearest neighbours (Å) after each atom.
Fractional coordinates of all 32 atoms:
Sr (0.2500, 0.8203, 0.4153)  5 O 2.53-2.80
O (0.0000, 0.5000, 0.5000)  2 W 2.06
Sr (0.2500, 0.3203, 0.0847)  5 O 2.53-2.80
O (0.9985, 0.3396, 0.8896)  1 W 1.84
Sr (0.2500, 0.0197, 0.7825)  4 O 2.46-2.69
O (0.0015, 0.6604, 0.1104)  1 W 1.84
Sr (0.2500, 0.5197, 0.7175)  4 O 2.46-2.69
O (0.2500, 0.2260, 0.6042)  1 W 1.96
O (0.7500, 0.7740, 0.3958)  1 W 1.96
O (0.5000, 0.5000, 0.5000)  2 W 2.06
O (0.2500, 0.4605, 0.2954)  1 W 1.87
O (0.7500, 0.5395, 0.7046)  1 W 1.87
Sr (0.7500, 0.6797, 0.9153)  5 O 2.53-2.80
O (0.4985, 0.1604, 0.3896)  1 W 1.84
O (0.4985, 0.6604, 0.1104)  1 W 1.84
O (0.5015, 0.3396, 0.8896)  1 W 1.84
O (0.0000, 0.0000, 0.0000)  2 W 2.06
O (0.2500, 0.9605, 0.2046)  1 W 1.87
O (0.7500, 0.0395, 0.7954)  1 W 1.87
O (0.5000, 0.0000, 0.0000)  2 W 2.06
O (0.7500, 0.2740, 0.1042)  1 W 1.96
W (0.7500, 0.6865, 0.5643)  6 O 1.84-2.06
Sr (0.7500, 0.4803, 0.2825)  4 O 2.46-2.69
W (0.7500, 0.1865, 0.9357)  6 O 1.84-2.06
W (0.2500, 0.8135, 0.0643)  6 O 1.84-2.06
O (0.0015, 0.1604, 0.3896)  1 W 1.84
Sr (0.7500, 0.1797, 0.5847)  5 O 2.53-2.80
Sr (0.7500, 0.9803, 0.2175)  4 O 2.46-2.69
O (0.5015, 0.8396, 0.6104)  1 W 1.84
O (0.2500, 0.7260, 0.8958)  1 W 1.96
W (0.2500, 0.3135, 0.4357)  6 O 1.84-2.06
O (0.9985, 0.8396, 0.6104)  1 W 1.84

* E: -135.05 eV/f.u.
* E_form: -67.8 kcal/mol of atoms

What did the fifth record say?
Computed, not measured: a relaxed structure of Sr3V2O8 at the meta-GGA r2SCAN level of DFT.

Lattice parameters (Å, degrees): 7.4640 7.4640 7.4640 44.23 44.23 44.23
With the nearest neighbours (Å) after each atom.
Fractional coordinates of all 13 atoms:
O (0.2323, 0.7316, 0.7316)  1 V 1.72
Sr (0.2018, 0.2018, 0.2018)  4 O 2.42-2.59
O (0.7316, 0.2323, 0.7316)  1 V 1.72
Sr (0.7982, 0.7982, 0.7982)  4 O 2.42-2.59
V (0.4061, 0.4061, 0.4061)  4 O 1.70-1.72
O (0.6784, 0.6784, 0.6784)  1 V 1.70
O (0.3216, 0.3216, 0.3216)  1 V 1.70
Sr (0.0000, 0.0000, 0.0000)  6 O 2.61
O (0.2684, 0.2684, 0.7677)  1 V 1.72
O (0.2684, 0.7677, 0.2684)  1 V 1.72
O (0.7677, 0.2684, 0.2684)  1 V 1.72
V (0.5939, 0.5939, 0.5939)  4 O 1.70-1.72
O (0.7316, 0.7316, 0.2323)  1 V 1.72

* E: -161.67 eV/f.u.
* E_form: -71.4 kcal/mol of atoms

Please write out number 1 again, unchanged.
Computed, not measured: a relaxed structure of SrUO4 at the meta-GGA r2SCAN level of DFT.

Lattice parameters (Å, degrees): 6.5952 6.5952 6.5952 34.55 34.55 34.55
With the nearest neighbours (Å) after each atom.
Fractional coordinates of all 6 atoms:
O (0.3595, 0.3595, 0.3595)  3 U 2.31, 3 O 2.46
O (0.8938, 0.8938, 0.8938)  1 U 1.97
O (0.1062, 0.1062, 0.1062)  1 U 1.97
Sr (0.5000, 0.5000, 0.5000)  8 O 2.53-2.61
O (0.6405, 0.6405, 0.6405)  3 U 2.31, 3 O 2.46
U (0.0000, 0.0000, 0.0000)  2 O 1.97

* E: -139.94 eV/f.u.
* E_form: -80.6 kcal/mol of atoms

Please write out number 5 again, unchanged.
Computed, not measured: a relaxed structure of Sr3V2O8 at the meta-GGA r2SCAN level of DFT.

Lattice parameters (Å, degrees): 7.4640 7.4640 7.4640 44.23 44.23 44.23
With the nearest neighbours (Å) after each atom.
Fractional coordinates of all 13 atoms:
O (0.2323, 0.7316, 0.7316)  1 V 1.72
Sr (0.2018, 0.2018, 0.2018)  4 O 2.42-2.59
O (0.7316, 0.2323, 0.7316)  1 V 1.72
Sr (0.7982, 0.7982, 0.7982)  4 O 2.42-2.59
V (0.4061, 0.4061, 0.4061)  4 O 1.70-1.72
O (0.6784, 0.6784, 0.6784)  1 V 1.70
O (0.3216, 0.3216, 0.3216)  1 V 1.70
Sr (0.0000, 0.0000, 0.0000)  6 O 2.61
O (0.2684, 0.2684, 0.7677)  1 V 1.72
O (0.2684, 0.7677, 0.2684)  1 V 1.72
O (0.7677, 0.2684, 0.2684)  1 V 1.72
V (0.5939, 0.5939, 0.5939)  4 O 1.70-1.72
O (0.7316, 0.7316, 0.2323)  1 V 1.72

* E: -161.67 eV/f.u.
* E_form: -71.4 kcal/mol of atoms

Q: What is the formula in the seventh record?
A: Sr2WO5